Record 1
The following is a PBE calculation of a geometry-optimized PrMgBi2O6 structure, from the Materials Project.

Energy relative to the lowest polymorph listed for this composition in meV/atom: 286
Space group: I4/m
Final energy in eV per atom: -5.955

Lattice parameters (Å, degrees): 5.9716 5.9716 5.9716 121.46 121.46 87.49
Fractional coordinates of all 10 atoms:
Pr: 0.0000 0.0000 0.0000
Mg: 0.5000 0.5000 0.0000
Bi: 0.2500 0.7500 0.5000
Bi: 0.7500 0.2500 0.5000
O: 0.1670 0.6312 0.7981
O: 0.2657 0.2657 0.0000
O: 0.3688 0.1670 0.5358
O: 0.6312 0.8330 0.4642
O: 0.7343 0.7343 0.0000
O: 0.8330 0.3688 0.2019

---

Record 2
The following is a PBE calculation of a geometry-optimized PrMgBi2O6 structure, from the Materials Project.

Energy relative to the lowest polymorph listed for this composition in meV/atom: 0
Space group: Pmn2_1
Final energy in eV per atom: -6.241
Total moment in Bohr magnetons per cell: 0.001

Lattice parameters (Å, degrees): 8.5502 6.0830 5.8290 90.00 90.00 90.00
Fractional coordinates of all 20 atoms:
Pr: 0.0000 0.1851 0.0000
Pr: 0.5000 0.8149 0.5000
Mg: 0.0000 0.7484 0.4983
Mg: 0.5000 0.2516 0.9983
Bi: 0.2494 0.2634 0.4924
Bi: 0.2506 0.7366 0.9924
Bi: 0.7494 0.7366 0.9924
Bi: 0.7506 0.2634 0.4924
O: 0.0000 0.3548 0.6261
O: 0.0000 0.8240 0.8327
O: 0.1688 0.9255 0.3168
O: 0.1842 0.4211 0.1553
O: 0.3158 0.5789 0.6553
O: 0.3312 0.0745 0.8168
O: 0.5000 0.1760 0.3327
O: 0.5000 0.6452 0.1261
O: 0.6688 0.0745 0.8168
O: 0.6842 0.5789 0.6553
O: 0.8158 0.4211 0.1553
O: 0.8312 0.9255 0.3168

---

Record 3
The following is a PBE calculation of a geometry-optimized PrMgBi2O6 structure, from the Materials Project.

Energy relative to the lowest polymorph listed for this composition in meV/atom: 293
Space group: P4/mnc
Final energy in eV per atom: -5.948
Total moment in Bohr magnetons per cell: 2.000

Lattice parameters (Å, degrees): 5.8262 5.8262 8.6508 90.00 90.00 90.00
Fractional coordinates of all 20 atoms:
Pr: 0.0000 0.0000 0.0000
Pr: 0.5000 0.5000 0.5000
Mg: 0.0000 0.0000 0.5000
Mg: 0.5000 0.5000 0.0000
Bi: 0.0000 0.5000 0.2500
Bi: 0.0000 0.5000 0.7500
Bi: 0.5000 0.0000 0.2500
Bi: 0.5000 0.0000 0.7500
O: 0.0000 0.0000 0.2659
O: 0.0000 0.0000 0.7341
O: 0.1319 0.3324 0.5000
O: 0.1676 0.3681 0.0000
O: 0.3324 0.8681 0.5000
O: 0.3681 0.8324 0.0000
O: 0.5000 0.5000 0.2341
O: 0.5000 0.5000 0.7659
O: 0.6319 0.1676 0.0000
O: 0.6676 0.1319 0.5000
O: 0.8324 0.6319 0.0000
O: 0.8681 0.6676 0.5000

---

Record 4
The following is a PBE calculation of a geometry-optimized PrMgBi2O6 structure, from the Materials Project.

Energy relative to the lowest polymorph listed for this composition in meV/atom: 600
Space group: Fm-3m
Final energy in eV per atom: -5.641
Total moment in Bohr magnetons per cell: 1.000

Lattice parameters (Å, degrees): 5.9721 5.9721 5.9721 60.00 60.00 60.00
Fractional coordinates of all 10 atoms:
Pr: 0.0000 0.0000 0.0000
Mg: 0.5000 0.5000 0.5000
Bi: 0.2500 0.2500 0.2500
Bi: 0.7500 0.7500 0.7500
O: 0.2668 0.2668 0.7332
O: 0.2668 0.7332 0.2668
O: 0.2668 0.7332 0.7332
O: 0.7332 0.2668 0.2668
O: 0.7332 0.2668 0.7332
O: 0.7332 0.7332 0.2668

---

Record 5
The following is a PBE calculation of a geometry-optimized RbMg6BiO8 structure, from the Materials Project.

Energy relative to the lowest polymorph listed for this composition in meV/atom: 0
Space group: P4/mmm
Final energy in eV per atom: -5.330
Total moment in Bohr magnetons per cell: 0.000

Lattice parameters (Å, degrees): 4.6957 4.6957 9.0605 90.00 90.00 90.00
Fractional coordinates of all 16 atoms:
Rb: 0.0000 0.0000 0.0000
Mg: 0.0000 0.0000 0.5000
Mg: 0.0000 0.5000 0.2736
Mg: 0.0000 0.5000 0.7264
Mg: 0.5000 0.0000 0.2736
Mg: 0.5000 0.0000 0.7264
Mg: 0.5000 0.5000 0.5000
Bi: 0.5000 0.5000 0.0000
O: 0.0000 0.0000 0.2846
O: 0.0000 0.0000 0.7154
O: 0.0000 0.5000 0.0000
O: 0.0000 0.5000 0.5000
O: 0.5000 0.0000 0.0000
O: 0.5000 0.0000 0.5000
O: 0.5000 0.5000 0.2696
O: 0.5000 0.5000 0.7304

---

Record 6
The following is a PBE calculation of a geometry-optimized Rb2MgBi2O5 structure, from the Materials Project.

Energy relative to the lowest polymorph listed for this composition in meV/atom: 121
Space group: Pmmm
Final energy in eV per atom: -4.792
Total moment in Bohr magnetons per cell: 0.000

Lattice parameters (Å, degrees): 4.4649 4.9410 8.4697 90.00 90.00 90.00
Fractional coordinates of all 10 atoms:
Rb: 0.0000 0.0000 0.0000
Rb: 0.0000 0.0000 0.5000
Mg: 0.0000 0.5000 0.0000
Bi: 0.5000 0.5000 0.2705
Bi: 0.5000 0.5000 0.7295
O: 0.0000 0.5000 0.2226
O: 0.0000 0.5000 0.7774
O: 0.5000 0.0000 0.2618
O: 0.5000 0.0000 0.7382
O: 0.5000 0.5000 0.0000